(1)
Computed, not measured: a relaxed RuRh3 crystal at the GGA-PBE level of DFT.

Properties
E_tot ... -0.28617 Ha/atom
DFT formation energy ... 21 kJ/mol of formula units

Unit cell a=3.8423 b=3.8423 c=3.8423 alpha=90.00 beta=90.00 gamma=90.00
With the nearest neighbours (Å) after each atom.
Fractional positions:
Ru 0.0000 0.0000 0.0000  12 Rh 2.72
Rh 0.0000 0.5000 0.5000  8 Rh 2.72, 4 Ru 2.72
Rh 0.5000 0.0000 0.5000  8 Rh 2.72, 4 Ru 2.72
Rh 0.5000 0.5000 0.0000  4 Ru 2.72, 8 Rh 2.72

=====

(2)
Computed, not measured: a relaxed NaLaMg6 crystal at the GGA-PBE level of DFT.

Properties
E_tot ... -0.07015 Ha/atom
DFT formation energy ... 57 kJ/mol of formula units

Unit cell a=5.3192 b=6.7755 c=11.8441 alpha=90.00 beta=90.00 gamma=90.00
With the nearest neighbours (Å) after each atom.
Fractional positions:
Na 0.5000 0.5000 0.1596  10 Mg 3.29-3.53, 2 La 3.38
Na 0.5000 0.0000 0.6596  10 Mg 3.29-3.53, 2 La 3.38
La 0.0000 0.5000 0.3358  10 Mg 3.32-3.46, 2 Na 3.38
La 0.0000 0.0000 0.8358  10 Mg 3.32-3.46, 2 Na 3.38
Mg 0.0000 0.7495 0.0807  8 Mg 3.27-3.48, 2 Na 3.29, 2 La 3.36-3.46
Mg 0.0000 0.2505 0.0807  8 Mg 3.27-3.48, 2 Na 3.29, 2 La 3.36-3.46
Mg 0.0000 0.0000 0.3376  10 Mg 3.28-3.48, 2 La 3.39
Mg 0.5000 0.2449 0.4194  8 Mg 3.27-3.46, 2 Na 3.29-3.53, 2 La 3.32
Mg 0.5000 0.7551 0.4194  8 Mg 3.27-3.46, 2 Na 3.29-3.53, 2 La 3.32
Mg 0.5000 0.0000 0.1668  10 Mg 3.32-3.42, 2 Na 3.39
Mg 0.0000 0.2495 0.5807  8 Mg 3.27-3.48, 2 Na 3.29, 2 La 3.36-3.46
Mg 0.0000 0.7505 0.5807  8 Mg 3.27-3.48, 2 Na 3.29, 2 La 3.36-3.46
Mg 0.0000 0.5000 0.8376  10 Mg 3.28-3.48, 2 La 3.39
Mg 0.5000 0.7449 0.9194  8 Mg 3.27-3.46, 2 Na 3.29-3.53, 2 La 3.32
Mg 0.5000 0.2551 0.9194  8 Mg 3.27-3.46, 2 Na 3.29-3.53, 2 La 3.32
Mg 0.5000 0.5000 0.6668  10 Mg 3.32-3.42, 2 Na 3.39

=====

(3)
Computed, not measured: a relaxed NdMg crystal at the GGA-PBE level of DFT.

Properties
E_tot ... -0.12102 Ha/atom
DFT formation energy ... -21 kJ/mol of formula units

Unit cell a=3.8852 b=3.8852 c=3.8852 alpha=90.00 beta=90.00 gamma=90.00
With the nearest neighbours (Å) after each atom.
Fractional positions:
Nd 0.5000 0.5000 0.5000  8 Mg 3.36
Mg 0.0000 0.0000 0.0000  8 Nd 3.36

=====

(4)
Computed, not measured: a relaxed Ba4Al3Cu2F21 crystal at the GGA-PBE level of DFT.

Properties
E_tot ... -0.20334 Ha/atom
DFT formation energy ... -10457 kJ/mol of formula units

Unit cell a=5.3801 b=7.4811 c=42.1676 alpha=90.00 beta=90.00 gamma=90.00
With the nearest neighbours (Å) after each atom.
Fractional positions:
Ba 0.7478 0.9871 0.3512  7 F 2.70-3.00
Ba 0.6747 0.9963 0.5114  7 F 2.66-2.88
Ba 0.2522 0.4871 0.1488  7 F 2.70-3.00
Ba 0.7643 0.0174 0.1199  9 F 2.68-2.99
Ba 0.7480 0.2179 0.2358  10 F 2.78-3.03
Ba 0.2357 0.5174 0.3801  9 F 2.68-2.99
Ba 0.7520 0.7821 0.7358  10 F 2.78-3.03
Ba 0.7522 0.0129 0.8512  7 F 2.70-3.00
Ba 0.2478 0.5129 0.6488  7 F 2.70-3.00
Ba 0.2480 0.2821 0.7642  10 F 2.78-3.03
Ba 0.2643 0.4826 0.8801  9 F 2.68-2.99
Ba 0.7357 0.9826 0.6199  9 F 2.68-2.99
Ba 0.3253 0.4963 0.9886  7 F 2.66-2.88
Ba 0.1747 0.5037 0.4886  7 F 2.66-2.88
Ba 0.2520 0.7179 0.2642  10 F 2.78-3.03
Ba 0.8253 0.0037 0.0114  7 F 2.66-2.88
Al 0.2358 0.9896 0.6803  6 F 1.78-1.90
Al 0.7607 0.6886 0.1998  6 F 1.79-1.91
Al 0.2393 0.1886 0.3002  6 F 1.79-1.91
Al 0.3335 0.2085 0.0605  6 F 1.80-1.88
Al 0.2642 0.0104 0.1803  6 F 1.78-1.90
Al 0.2607 0.8114 0.8002  6 F 1.79-1.91
Al 0.7393 0.3114 0.6998  6 F 1.79-1.91
Al 0.6665 0.7085 0.4395  6 F 1.80-1.88
Al 0.8335 0.2915 0.9395  6 F 1.80-1.88
Al 0.1665 0.7915 0.5605  6 F 1.80-1.88
Al 0.7642 0.4896 0.8197  6 F 1.78-1.90
Al 0.7358 0.5104 0.3197  6 F 1.78-1.90
Cu 0.1805 0.2749 0.5663  4 F 1.89-2.03
Cu 0.6805 0.2251 0.4337  4 F 1.89-2.03
Cu 0.2996 0.9907 0.9253  4 F 1.91-1.99
Cu 0.3195 0.7251 0.0663  4 F 1.89-2.03
Cu 0.8195 0.7749 0.9337  4 F 1.89-2.03
Cu 0.7004 0.4907 0.5747  4 F 1.91-1.99
Cu 0.2004 0.0093 0.4253  4 F 1.91-1.99
Cu 0.7996 0.5093 0.0747  4 F 1.91-1.99
F 0.9828 0.9986 0.5649  1 Al 1.85
F 0.8609 0.6833 0.5505  1 Al 1.88, 1 Cu 1.97
F 0.4615 0.1823 0.6832  2 Al 1.89-1.91
F 0.4937 0.6819 0.1047  1 Cu 1.90
F 0.1087 0.8647 0.3899  1 Cu 1.91
F 0.2610 0.9272 0.8373  1 Al 1.79
F 0.8913 0.3647 0.1101  1 Cu 1.91
F 0.4468 0.9152 0.5678  1 Al 1.80
F 0.4606 0.3515 0.3199  2 Al 1.89-1.90
F 0.5394 0.8515 0.1801  2 Al 1.89-1.90
F 0.5151 0.6922 0.3241  1 Al 1.82
F 0.1870 0.8413 0.5175  1 Al 1.85
F 0.6697 0.7363 0.9737  1 Cu 1.89
F 0.5532 0.4152 0.9322  1 Al 1.80
F 0.3920 0.2627 0.1015  1 Al 1.80
F 0.6405 0.6662 0.0435  2 Cu 1.96-2.03
F 0.5005 0.5591 0.2137  1 Al 1.80
F 0.2208 0.9820 0.7225  1 Al 1.78
F 0.1391 0.1833 0.9495  1 Al 1.88, 1 Cu 1.97
F 0.7208 0.5180 0.2775  1 Al 1.78
F 0.9615 0.3177 0.3168  2 Al 1.89-1.91
F 0.5172 0.0014 0.0649  1 Al 1.85
F 0.5078 0.3336 0.8220  1 Al 1.81
F 0.0394 0.6485 0.8199  2 Al 1.89-1.90
F 0.3303 0.2363 0.5263  1 Cu 1.89
F 0.0183 0.0336 0.2836  1 Al 1.80
F 0.5183 0.4664 0.7164  1 Al 1.80
F 0.2522 0.9717 0.1384  1 Al 1.79
F 0.1080 0.7373 0.6015  1 Al 1.80
F 0.4849 0.1922 0.1759  1 Al 1.82
F 0.4940 0.2909 0.5911  2 Cu 1.99
F 0.7478 0.4717 0.3616  1 Al 1.79
F 0.2675 0.6680 0.7661  1 Al 1.79
F 0.3595 0.1662 0.4565  2 Cu 1.96-2.03
F 0.8197 0.9189 0.4480  1 Al 1.81
F 0.6391 0.3167 0.0505  1 Al 1.88, 1 Cu 1.97
F 0.9995 0.4409 0.7137  1 Al 1.80
F 0.8920 0.2373 0.8985  1 Al 1.80
F 0.2390 0.0728 0.3373  1 Al 1.79
F 0.5063 0.1819 0.3953  1 Cu 1.90
F 0.7390 0.4272 0.6627  1 Al 1.79
F 0.0172 0.4986 0.9351  1 Al 1.85
F 0.0151 0.8078 0.6759  1 Al 1.82
F 0.0532 0.0848 0.0678  1 Al 1.80
F 0.2792 0.0180 0.2225  1 Al 1.78
F 0.8130 0.3413 0.9825  1 Al 1.85
F 0.7325 0.1680 0.7339  1 Al 1.79
F 0.1803 0.4189 0.0520  1 Al 1.81
F 0.7522 0.5283 0.8616  1 Al 1.79
F 0.7675 0.8320 0.2339  1 Al 1.79
F 0.6870 0.6587 0.4825  1 Al 1.85
F 0.0005 0.9409 0.7863  1 Al 1.80
F 0.9940 0.2091 0.4089  2 Cu 1.99
F 0.3913 0.1353 0.8899  1 Cu 1.91
F 0.6803 0.0811 0.9480  1 Al 1.81
F 0.0060 0.7091 0.0911  2 Cu 1.99
F 0.0078 0.1664 0.1780  1 Al 1.81
F 0.9606 0.1485 0.6801  2 Al 1.89-1.90
F 0.8595 0.3338 0.5435  2 Cu 1.96-2.03
F 0.7610 0.5728 0.1627  1 Al 1.79
F 0.4995 0.0591 0.2863  1 Al 1.80
F 0.1405 0.8338 0.9565  2 Cu 1.96-2.03
F 0.3609 0.8167 0.4495  1 Al 1.88, 1 Cu 1.97
F 0.6080 0.7627 0.3985  1 Al 1.80
F 0.0385 0.8177 0.1832  2 Al 1.89-1.91
F 0.9922 0.6664 0.3220  1 Al 1.81
F 0.9937 0.8181 0.8953  1 Cu 1.90
F 0.4828 0.5014 0.4351  1 Al 1.85
F 0.0063 0.3181 0.6047  1 Cu 1.90
F 0.3197 0.5811 0.5520  1 Al 1.81
F 0.4922 0.8336 0.6780  1 Al 1.81
F 0.7792 0.4820 0.7775  1 Al 1.78
F 0.8303 0.2637 0.4737  1 Cu 1.89
F 0.2478 0.0283 0.6384  1 Al 1.79
F 0.9849 0.3078 0.8241  1 Al 1.82
F 0.9817 0.5336 0.2164  1 Al 1.80
F 0.3130 0.1587 0.0175  1 Al 1.85
F 0.9468 0.5848 0.4322  1 Al 1.80
F 0.1697 0.7637 0.0263  1 Cu 1.89
F 0.5385 0.6823 0.8168  2 Al 1.89-1.91
F 0.4817 0.9664 0.7836  1 Al 1.80
F 0.6087 0.6353 0.6101  1 Cu 1.91
F 0.5060 0.7909 0.9089  2 Cu 1.99
F 0.2325 0.3320 0.2661  1 Al 1.79